[1]
{"formula": "FeGe2", "functional": "GGA-PBE", "state": "optimized geometry", "formation_enthalpy_0k_ev_per_fu": -0.01, "lattice_angstrom": [[4.0511, -5.2663, 0.0000], [4.0511, 5.2663, 0.0000], [0.0000, 0.0000, 8.2450]], "species": ["Ge", "Ge", "Fe", "Ge", "Ge", "Fe", "Ge", "Fe", "Fe", "Ge", "Fe", "Ge", "Ge", "Ge", "Fe", "Fe", "Ge", "Ge", "Ge", "Ge", "Ge", "Ge", "Fe", "Ge"], "frac_coords": [[0.5865, 0.3341, 0.7688], [0.4135, 0.6659, 0.2312], [0.8034, 0.8034, 0.1876], [0.8992, 0.6449, 0.4559], [0.3551, 0.1008, 0.5441], [0.2183, 0.7817, 0.0000], [0.8341, 0.0865, 0.7312], [0.7817, 0.2183, 0.0000], [0.6966, 0.6966, 0.6876], [0.6008, 0.8551, 0.9559], [0.7183, 0.2817, 0.5000], [0.6449, 0.8992, 0.4559], [0.1008, 0.3551, 0.5441], [0.1449, 0.3992, 0.0441], [0.1966, 0.1966, 0.8124], [0.3034, 0.3034, 0.3124], [0.3341, 0.5865, 0.7688], [0.8551, 0.6008, 0.9559], [0.9135, 0.1659, 0.2688], [0.3992, 0.1449, 0.0441], [0.6659, 0.4135, 0.2312], [0.0865, 0.8341, 0.7312], [0.2817, 0.7183, 0.5000], [0.1659, 0.9135, 0.2688]]}

---

[2]
{"formula": "Fe6Ge5", "functional": "GGA-PBE", "state": "optimized geometry", "magmom_total_mub_per_fu": 9.48, "formation_enthalpy_0k_ev_per_fu": -1.01, "lattice_angstrom": [[-5.9082, -0.3090, 2.1701], [-1.3671, -6.1404, -0.3715], [0.6224, -2.6932, 7.2915]], "species": ["Fe", "Ge", "Fe", "Fe", "Fe", "Fe", "Fe", "Ge", "Ge", "Ge", "Ge", "Ge", "Fe", "Fe", "Ge", "Fe", "Fe", "Ge", "Ge", "Fe", "Ge", "Fe"], "frac_coords": [[0.7477, 0.2523, 0.5000], [0.1494, 0.1494, 0.3993], [0.5787, 0.5787, 0.7212], [0.4556, 0.9762, 0.1755], [0.5000, 0.0000, 0.5000], [0.8763, 0.8763, 0.0173], [0.0238, 0.5444, 0.8245], [0.8471, 0.2427, 0.7873], [0.7573, 0.1529, 0.2127], [0.6564, 0.6564, 0.3726], [0.1529, 0.7573, 0.2127], [0.8506, 0.8506, 0.6007], [0.5444, 0.0238, 0.8245], [0.9762, 0.4556, 0.1755], [0.3642, 0.3642, 0.9940], [0.0000, 0.5000, 0.5000], [0.2523, 0.7477, 0.5000], [0.6358, 0.6358, 0.0060], [0.2427, 0.8471, 0.7873], [0.4213, 0.4213, 0.2788], [0.3436, 0.3436, 0.6274], [0.1237, 0.1237, 0.9827]]}